1.
Ni3SnN | GGA-PBE | relaxed

Summary:
Its space group is Pm-3m, No. 221.

a b c (Å): 3.9085 3.9085 3.9085
angles (deg): 90.00 90.00 90.00
With the nearest neighbours (Å) after each atom.
Fractional positions:
Ni  0.0000  0.0000  0.5000  2 N 1.95
Ni  0.0000  0.5000  0.0000  2 N 1.95
Ni  0.5000  0.0000  0.0000  2 N 1.95
Sn  0.5000  0.5000  0.5000  12 Ni 2.76
N  0.0000  0.0000  0.0000  6 Ni 1.95

---

2.
RbDyS2O12 | GGA-PBE | relaxed

Summary:
Its space group is P2_1/c, No. 14.

a b c (Å): 6.0946 20.0130 9.1519
angles (deg): 90.00 94.50 90.00
With the nearest neighbours (Å) after each atom.
Fractional positions:
Rb  0.1569  0.2107  0.1353  6 O 2.90-3.20
Rb  0.1569  0.2893  0.6353  6 O 2.90-3.20
Rb  0.8431  0.7107  0.3647  6 O 2.90-3.20
Rb  0.8431  0.7893  0.8647  6 O 2.90-3.20
Dy  0.3813  0.6395  0.7218  7 O 2.25-2.46
Dy  0.3813  0.8605  0.2218  7 O 2.25-2.46
Dy  0.6187  0.1395  0.7782  7 O 2.25-2.46
Dy  0.6187  0.3605  0.2782  7 O 2.25-2.46
S  0.1872  0.0699  0.7526  4 O 1.44-1.53
S  0.1872  0.4301  0.2526  4 O 1.44-1.53
S  0.3678  0.7215  0.0907  4 O 1.45-1.53
S  0.3678  0.7785  0.5907  4 O 1.45-1.53
S  0.6322  0.2215  0.4093  4 O 1.45-1.53
S  0.6322  0.2785  0.9093  4 O 1.45-1.53
S  0.8128  0.5699  0.7474  4 O 1.44-1.53
S  0.8128  0.9301  0.2474  4 O 1.44-1.53
O  0.0328  0.6016  0.7179  1 S 1.53
O  0.0328  0.8984  0.2179  1 S 1.53
O  0.1548  0.0017  0.7060  1 S 1.44
O  0.1548  0.4983  0.2060  1 S 1.44
O  0.1689  0.7356  0.6210  1 S 1.53
O  0.1689  0.7644  0.1210  1 S 1.53
O  0.1905  0.6259  0.4958  1 Dy 2.31, 2 O 2.37-2.49
O  0.1905  0.8741  0.9958  1 Dy 2.31, 2 O 2.37-2.49
O  0.2373  0.0708  0.2744  1 O 1.23
O  0.2373  0.4292  0.7744  1 O 1.23
O  0.2851  0.1145  0.6406  1 S 1.52
O  0.2851  0.3855  0.1406  1 S 1.52
O  0.3090  0.0252  0.2020  1 O 1.23
O  0.3090  0.4748  0.7020  1 O 1.23
O  0.3462  0.0778  0.8864  1 S 1.51
O  0.3462  0.4222  0.3864  1 S 1.51
O  0.3478  0.7013  0.9337  1 S 1.49
O  0.3478  0.7987  0.4337  1 S 1.49
O  0.3903  0.6656  0.1911  1 S 1.45
O  0.3903  0.8344  0.6911  1 S 1.45
O  0.4417  0.2293  0.8836  1 S 1.53
O  0.4417  0.2707  0.3836  1 S 1.53
O  0.4425  0.5251  0.9928  1 O 1.23
O  0.4425  0.9749  0.4928  1 O 1.23
O  0.5575  0.0251  0.5072  1 O 1.23
O  0.5575  0.4749  0.0072  1 O 1.23
O  0.5583  0.7293  0.6164  1 S 1.53
O  0.5583  0.7707  0.1164  1 S 1.53
O  0.6097  0.1656  0.3089  1 S 1.45
O  0.6097  0.3344  0.8089  1 S 1.45
O  0.6522  0.2013  0.5663  1 S 1.49
O  0.6522  0.2987  0.0663  1 S 1.49
O  0.6538  0.5778  0.6136  1 S 1.51
O  0.6538  0.9222  0.1136  1 S 1.51
O  0.6910  0.5252  0.2980  1 O 1.23
O  0.6910  0.9748  0.7980  1 O 1.23
O  0.7149  0.6145  0.8594  1 S 1.52
O  0.7149  0.8855  0.3594  1 S 1.52
O  0.7627  0.5708  0.2256  1 O 1.23
O  0.7627  0.9292  0.7256  1 O 1.23
O  0.8095  0.1259  0.0042  1 Dy 2.31, 2 O 2.37-2.49
O  0.8095  0.3741  0.5042  1 Dy 2.31, 2 O 2.37-2.49
O  0.8311  0.2356  0.8790  1 S 1.53
O  0.8311  0.2644  0.3790  1 S 1.53
O  0.8452  0.5017  0.7940  1 S 1.44
O  0.8452  0.9983  0.2940  1 S 1.44
O  0.9672  0.1016  0.7821  1 S 1.53
O  0.9672  0.3984  0.2821  1 S 1.53

---

3.
LiBi4B3O11 | GGA-PBE | relaxed

Summary:
Its space group is C2/c, No. 15.

a b c (Å): 6.5328 6.5328 12.4033
angles (deg): 96.91 96.91 88.84
With the nearest neighbours (Å) after each atom.
Fractional positions:
Li  0.1121  0.8879  0.7500  4 O 2.06-2.12
Li  0.8879  0.1121  0.2500  4 O 2.06-2.12
Bi  0.0799  0.3992  0.8324  3 O 2.13-2.26
Bi  0.1740  0.6004  0.4213  2 O 2.14-2.35
Bi  0.3992  0.0799  0.3324  3 O 2.13-2.26
Bi  0.3996  0.8260  0.0787  2 O 2.14-2.35
Bi  0.6004  0.1740  0.9213  2 O 2.14-2.35
Bi  0.6008  0.9201  0.6676  3 O 2.13-2.26
Bi  0.8260  0.3996  0.5787  2 O 2.14-2.35
Bi  0.9201  0.6008  0.1676  3 O 2.13-2.26
B  0.1384  0.1731  0.0738  3 O 1.38-1.40
B  0.1731  0.1384  0.5738  3 O 1.38-1.40
B  0.4679  0.5321  0.2500  3 O 1.38-1.41
B  0.5321  0.4679  0.7500  3 O 1.38-1.41
B  0.8269  0.8616  0.4262  3 O 1.38-1.40
B  0.8616  0.8269  0.9262  3 O 1.38-1.40
O  0.0066  0.5912  0.7054  1 Li 2.06, 2 Bi 2.13-2.14
O  0.0106  0.6800  0.9480  1 B 1.38
O  0.0463  0.1371  0.6559  1 B 1.39
O  0.1328  0.2962  0.5064  1 B 1.40
O  0.1371  0.0463  0.1559  1 B 1.39
O  0.2962  0.1328  0.0064  1 B 1.40
O  0.3134  0.6866  0.2500  1 B 1.41
O  0.3200  0.9894  0.5520  1 B 1.38
O  0.4088  0.9934  0.7946  1 Li 2.06, 2 Bi 2.13-2.14
O  0.4129  0.4816  0.8354  1 B 1.38
O  0.4816  0.4129  0.3354  1 B 1.38
O  0.5184  0.5871  0.6646  1 B 1.38
O  0.5871  0.5184  0.1646  1 B 1.38
O  0.5912  0.0066  0.2054  1 Li 2.06, 2 Bi 2.13-2.14
O  0.6800  0.0106  0.4480  1 B 1.38
O  0.6866  0.3134  0.7500  1 B 1.41
O  0.7038  0.8672  0.9936  1 B 1.40
O  0.8629  0.9537  0.8441  1 B 1.39
O  0.8672  0.7038  0.4936  1 B 1.40
O  0.9537  0.8629  0.3441  1 B 1.39
O  0.9894  0.3200  0.0520  1 B 1.38
O  0.9934  0.4088  0.2946  1 Li 2.06, 2 Bi 2.13-2.14

---

4.
TmB4Ir4 | GGA-PBE | relaxed

Summary:
Its space group is P4_2/nmc, No. 137.

a b c (Å): 5.3949 5.3949 7.4450
angles (deg): 90.00 90.00 90.00
With the nearest neighbours (Å) after each atom.
Fractional positions:
Tm  0.2500  0.7500  0.2500  12 Ir 2.96-3.21, 12 B 3.07-3.13
Tm  0.7500  0.2500  0.7500  12 Ir 2.96-3.21, 12 B 3.07-3.13
B  0.0775  0.2500  0.0968  1 B 1.86
B  0.2500  0.0775  0.5968  1 B 1.86
B  0.2500  0.4225  0.5968  1 B 1.86
B  0.4225  0.2500  0.0968  1 B 1.86
B  0.5775  0.7500  0.9032  1 B 1.86
B  0.7500  0.5775  0.4032  1 B 1.86
B  0.7500  0.9225  0.4032  1 B 1.86
B  0.9225  0.7500  0.9032  1 B 1.86
Ir  0.0011  0.7500  0.6051  5 B 2.22-2.26
Ir  0.2500  0.5011  0.8949  5 B 2.22-2.26
Ir  0.2500  0.9989  0.8949  5 B 2.22-2.26
Ir  0.4989  0.7500  0.6051  5 B 2.22-2.26
Ir  0.5011  0.2500  0.3949  5 B 2.22-2.26
Ir  0.7500  0.0011  0.1051  5 B 2.22-2.26
Ir  0.7500  0.4989  0.1051  5 B 2.22-2.26
Ir  0.9989  0.2500  0.3949  5 B 2.22-2.26

---

5.
RbSb2PS2O12 | GGA-PBE | relaxed

Summary:
Its space group is P-1, No. 2.

a b c (Å): 5.2457 8.2030 13.1150
angles (deg): 82.02 87.77 86.78
With the nearest neighbours (Å) after each atom.
Fractional positions:
Rb  0.2244  0.3350  0.1472  7 O 2.93-3.20
Rb  0.7756  0.6650  0.8528  7 O 2.93-3.20
Sb  0.2803  0.2391  0.4634  3 O 2.05-2.06
Sb  0.3124  0.1963  0.8240  3 O 2.05-2.20
Sb  0.6876  0.8037  0.1760  3 O 2.05-2.20
Sb  0.7197  0.7609  0.5366  3 O 2.05-2.06
P  0.2341  0.5311  0.6396  4 O 1.53-1.55
P  0.7659  0.4689  0.3604  4 O 1.53-1.55
S  0.2089  0.8914  0.3432  4 O 1.48-1.52
S  0.2410  0.7904  0.0281  4 O 1.46-1.57
S  0.7590  0.2096  0.9719  4 O 1.46-1.57
S  0.7911  0.1086  0.6568  4 O 1.48-1.52
O  0.0050  0.7015  0.0685  1 S 1.51
O  0.0123  0.3546  0.3641  1 P 1.55
O  0.0644  0.1047  0.6827  1 S 1.48
O  0.2142  0.4255  0.7473  1 P 1.55
O  0.2346  0.8318  0.4551  1 S 1.49
O  0.2464  0.9526  0.0622  1 S 1.46
O  0.2507  0.4328  0.5484  1 P 1.53
O  0.2684  0.7888  0.9168  1 S 1.46
O  0.3187  0.0556  0.3161  1 S 1.49
O  0.3553  0.7684  0.2832  1 S 1.52
O  0.4684  0.6801  0.0787  1 S 1.57
O  0.4729  0.6347  0.6400  1 P 1.55
O  0.5271  0.3653  0.3600  1 P 1.55
O  0.5316  0.3199  0.9213  1 S 1.57
O  0.6447  0.2316  0.7168  1 S 1.52
O  0.6813  0.9444  0.6839  1 S 1.49
O  0.7316  0.2112  0.0832  1 S 1.46
O  0.7493  0.5672  0.4516  1 P 1.53
O  0.7536  0.0474  0.9378  1 S 1.46
O  0.7654  0.1682  0.5449  1 S 1.49
O  0.7858  0.5745  0.2527  1 P 1.55
O  0.9356  0.8953  0.3173  1 S 1.48
O  0.9877  0.6454  0.6359  1 P 1.55
O  0.9950  0.2985  0.9315  1 S 1.51

---

6.
MgNb2P2S2 | GGA-PBE | relaxed

Summary:
Its space group is Immm, No. 71. The energy above the most stable polymorph in this dataset comes out at 132 meV per atom.

a b c (Å): 6.9327 6.9327 6.9327
angles (deg): 152.12 120.73 66.74
With the nearest neighbours (Å) after each atom.
Fractional positions:
Mg  0.0000  0.0000  0.0000  2 S 2.51, 4 P 2.65
Nb  0.3748  0.8748  0.5000  2 S 2.48, 4 P 2.60
Nb  0.6252  0.1252  0.5000  2 S 2.48, 4 P 2.60
P  0.2993  0.5000  0.7993  4 Nb 2.60, 2 Mg 2.65, 1 P 2.75
P  0.7007  0.5000  0.2007  4 Nb 2.60, 2 Mg 2.65, 1 P 2.75
S  0.2169  0.2169  0.0000  2 Nb 2.48, 1 Mg 2.51
S  0.7831  0.7831  0.0000  2 Nb 2.48, 1 Mg 2.51

---

ΔE_f? In order: -0.07 -1.46 -2.16 -0.51 -2.10 -0.78 eV per atom.